1.
Ca9Zn4Sb9 (PBE-GGA, relaxed); calculated formation energy = -0.890 eV/atom; symmetry = Pbam, No. 55
1.0
12.5066 0.0000 0.0000
0.0000 21.9186 0.0000
0.0000 0.0000 4.5611
Ca Zn Sb
18 8 18
direct
0.0000 0.0000 0.0000
0.0639 0.4093 0.5000
0.1216 0.2367 0.5000
0.1341 0.8628 0.5000
0.2127 0.6021 0.0000
0.2873 0.1021 0.0000
0.3659 0.3628 0.5000
0.3784 0.7367 0.5000
0.4361 0.9093 0.5000
0.5000 0.5000 0.0000
0.5639 0.0907 0.5000
0.6216 0.2633 0.5000
0.6341 0.6372 0.5000
0.7127 0.8979 0.0000
0.7873 0.3979 0.0000
0.8659 0.1372 0.5000
0.8784 0.7633 0.5000
0.9361 0.5907 0.5000
0.1168 0.7625 0.0000
0.2233 0.4540 0.0000
0.2767 0.9540 0.0000
0.3832 0.2625 0.0000
0.6168 0.7375 0.0000
0.7233 0.0460 0.0000
0.7767 0.5460 0.0000
0.8832 0.2375 0.0000
0.0000 0.5000 0.0000
0.0406 0.1468 0.0000
0.1204 0.6947 0.5000
0.1903 0.3319 0.0000
0.1937 0.0060 0.5000
0.3063 0.5060 0.5000
0.3097 0.8319 0.0000
0.3796 0.1947 0.5000
0.4594 0.6468 0.0000
0.5000 0.0000 0.0000
0.5406 0.3532 0.0000
0.6204 0.8053 0.5000
0.6903 0.1681 0.0000
0.6937 0.4940 0.5000
0.8063 0.9940 0.5000
0.8097 0.6681 0.0000
0.8796 0.3053 0.5000
0.9594 0.8532 0.0000

---

2.
Ca2ZnSb2 (PBE-GGA, relaxed); calculated formation energy = -0.868 eV/atom; symmetry = Pm, No. 6
1.0
12.5393 0.0000 0.0000
0.0000 4.6033 0.0000
-0.1182 0.0000 22.0027
Ca Zn Sb
18 9 18
direct
0.0000 0.0000 0.0000
0.0063 0.0000 0.6129
0.0885 0.5000 0.3571
0.1741 0.5000 0.8567
0.2418 0.0000 0.1187
0.2545 0.0000 0.4914
0.3169 0.0000 0.6621
0.3743 0.5000 0.2548
0.4377 0.0000 0.8450
0.4939 0.0000 0.0188
0.5092 0.0000 0.3919
0.5895 0.5000 0.6507
0.6605 0.5000 0.1538
0.7283 0.0000 0.8934
0.7532 0.0000 0.5176
0.8118 0.0000 0.3453
0.8694 0.5000 0.7502
0.9387 0.0000 0.1657
0.0970 0.5000 0.2098
0.1582 0.5000 0.7091
0.2553 0.5000 0.0172
0.4934 0.5000 0.4918
0.5978 0.5000 0.8006
0.6521 0.5000 0.3008
0.7469 0.5000 0.9947
0.9797 0.0000 0.8586
0.9915 0.5000 0.5162
0.0655 0.5000 0.0875
0.0717 0.0000 0.7528
0.1806 0.0000 0.2601
0.1841 0.5000 0.5888
0.2490 0.0000 0.9475
0.3349 0.5000 0.4024
0.3741 0.5000 0.7552
0.4141 0.5000 0.1060
0.4971 0.0000 0.5602
0.5624 0.5000 0.9226
0.5684 0.0000 0.2484
0.6807 0.0000 0.7502
0.6851 0.5000 0.4225
0.7567 0.0000 0.0582
0.8345 0.5000 0.6073
0.8741 0.5000 0.2541
0.9153 0.5000 0.9028
0.9972 0.0000 0.4498

---

3.
CaSe (PBE-GGA, relaxed); calculated formation energy = -2.258 eV/atom; symmetry = Fm-3m, No. 225
1.0
0.0000 2.9823 2.9823
2.9823 0.0000 2.9823
2.9823 2.9823 0.0000
Ca Se
1 1
direct
0.0000 0.0000 0.0000
0.5000 0.5000 0.5000

---

What did the third record say?
CaSe (PBE-GGA, relaxed); calculated formation energy = -2.258 eV/atom; symmetry = Fm-3m, No. 225
1.0
0.0000 2.9823 2.9823
2.9823 0.0000 2.9823
2.9823 2.9823 0.0000
Ca Se
1 1
direct
0.0000 0.0000 0.0000
0.5000 0.5000 0.5000

---

> The highest calculated formation energy belongs to which entry?

Ca2ZnSb2

---

> Which formula does entry 1 have?

Ca9Zn4Sb9